The following is a DFT calculation (PBE) of Ba3Er2P4S16 after structural relaxation.

Unit cell a=10.396 b=12.724 c=19.420 alpha=90.00 beta=90.00 gamma=90.00
Sites, in units of the cell vectors:
S1 0.935 0.229 0.651
S2 0.821 0.829 0.568
S3 0.114 0.394 0.150
S4 0.114 0.106 0.850
S5 0.111 0.902 0.516
S6 0.111 0.598 0.484
S7 0.504 0.014 0.166
S8 0.821 0.671 0.432
S9 0.570 0.387 0.647
S10 0.790 0.114 0.809
S11 0.496 0.514 0.166
S12 0.065 0.771 0.349
S13 0.004 0.014 0.334
S14 0.379 0.085 0.532
S15 0.886 0.606 0.850
S16 0.570 0.113 0.353
S17 0.790 0.386 0.191
S18 0.070 0.113 0.147
S19 0.004 0.486 0.666
S20 0.996 0.986 0.666
S21 0.121 0.915 0.032
S22 0.321 0.671 0.068
S23 0.386 0.606 0.650
S24 0.879 0.085 0.968
S25 0.710 0.614 0.691
S26 0.565 0.729 0.849
S27 0.889 0.402 0.516
S28 0.435 0.271 0.151
S29 0.996 0.514 0.334
S30 0.886 0.894 0.150
S31 0.496 0.986 0.834
S32 0.121 0.585 0.968
S33 0.070 0.387 0.853
S34 0.611 0.598 0.016
S35 0.290 0.114 0.691
S36 0.179 0.171 0.432
S37 0.065 0.729 0.651
S38 0.179 0.329 0.568
S39 0.389 0.098 0.016
S40 0.379 0.415 0.468
S41 0.621 0.915 0.468
S42 0.614 0.106 0.650
S43 0.210 0.886 0.191
S44 0.935 0.271 0.349
S45 0.210 0.614 0.809
S46 0.930 0.887 0.853
S47 0.621 0.585 0.532
S48 0.504 0.486 0.834
S49 0.435 0.229 0.849
S50 0.290 0.386 0.309
S51 0.611 0.902 0.984
S52 0.879 0.415 0.032
S53 0.430 0.613 0.353
S54 0.710 0.886 0.309
S55 0.386 0.894 0.350
S56 0.679 0.171 0.068
S57 0.889 0.098 0.484
S58 0.321 0.829 0.932
S59 0.389 0.402 0.984
S60 0.930 0.613 0.147
S61 0.679 0.329 0.932
S62 0.430 0.887 0.647
S63 0.614 0.394 0.350
S64 0.565 0.771 0.151
Er1 0.129 0.113 0.573
Er2 0.629 0.113 0.927
Er3 0.629 0.387 0.073
Er4 0.371 0.887 0.073
Er5 0.871 0.613 0.573
Er6 0.129 0.387 0.427
Er7 0.871 0.887 0.427
Er8 0.371 0.613 0.927
P1 0.495 0.140 0.102
P2 0.005 0.860 0.602
P3 0.995 0.140 0.398
P4 0.936 0.048 0.869
P5 0.495 0.360 0.898
P6 0.936 0.452 0.131
P7 0.436 0.048 0.631
P8 0.564 0.548 0.631
P9 0.064 0.952 0.131
P10 0.564 0.952 0.369
P11 0.995 0.360 0.602
P12 0.064 0.548 0.869
P13 0.505 0.860 0.898
P14 0.005 0.640 0.398
P15 0.436 0.452 0.369
P16 0.505 0.640 0.102
Ba1 0.617 0.250 0.500
Ba2 0.789 0.391 0.773
Ba3 0.117 0.250 0.000
Ba4 0.789 0.109 0.227
Ba5 0.711 0.891 0.727
Ba6 0.289 0.109 0.273
Ba7 0.211 0.609 0.227
Ba8 0.383 0.750 0.500
Ba9 0.211 0.891 0.773
Ba10 0.711 0.609 0.273
Ba11 0.883 0.750 0.000
Ba12 0.289 0.391 0.727

Computed properties:
The calculation puts the formation energy from the elements at -37.19 eV/f.u. As for the space group: Pbcn.